Entry 1:
{"formula": "La2MgS4", "functional": "PBE-GGA", "state": "optimized geometry", "spacegroup": "I-42d, No. 122", "de_polymorph_ev_per_atom": 0.037, "e_tot_ha_per_atom": -0.21636, "ef_ev_per_atom": -2.17, "lattice_angstrom": [[5.960, -2.921, 3.463], [-4.446, -5.764, -1.744], [2.033, 3.786, -6.130]], "species": ["La", "La", "La", "La", "Mg", "Mg", "S", "S", "S", "S", "S", "S", "S", "S"], "fractional_positions": [[0.875, 0.758, 0.383], [0.508, 0.125, 0.883], [0.375, 0.492, 0.617], [0.242, 0.625, 0.117], [0.000, 0.000, 0.000], [0.750, 0.250, 0.500], [0.508, 0.375, 0.269], [0.761, 0.492, 0.868], [0.106, 0.239, 0.731], [0.625, 0.894, 0.132], [0.242, 0.011, 0.368], [0.989, 0.356, 0.231], [0.644, 0.875, 0.632], [0.125, 0.758, 0.769]]}

***

Entry 2:
{"formula": "Mg2GaW3S8", "functional": "PBE-GGA", "state": "optimized geometry", "spacegroup": "P1, No. 1", "e_tot_ha_per_atom": -0.23201, "ef_ev_per_atom": -1.02, "lattice_angstrom": [[6.351, 0.228, 4.030], [2.331, 5.982, 4.028], [0.315, 0.223, 7.516]], "species": ["Mg", "Mg", "Ga", "W", "W", "W", "S", "S", "S", "S", "S", "S", "S", "S"], "fractional_positions": [[0.886, 0.883, 0.886], [0.140, 0.137, 0.139], [0.484, 0.482, 0.484], [0.534, 0.529, 0.940], [0.939, 0.530, 0.534], [0.529, 0.948, 0.528], [0.755, 0.758, 0.756], [0.244, 0.247, 0.723], [0.244, 0.724, 0.245], [0.723, 0.246, 0.244], [0.729, 0.286, 0.729], [0.292, 0.729, 0.729], [0.271, 0.272, 0.271], [0.729, 0.729, 0.292]]}

***

Entry 3:
{"formula": "SrZrO3", "functional": "PBE-GGA", "state": "optimized geometry", "spacegroup": "Pnma, No. 62", "e_tot_ha_per_atom": -0.30378, "ef_ev_per_atom": -3.66, "lattice_angstrom": [[-5.376, 1.836, -1.385], [0.926, -1.537, -5.633], [-2.994, -7.577, 1.575]], "species": ["Sr", "Sr", "Sr", "Sr", "Zr", "Zr", "Zr", "Zr", "O", "O", "O", "O", "O", "O", "O", "O", "O", "O", "O", "O"], "fractional_positions": [[0.007, 0.533, 0.250], [0.507, 0.967, 0.750], [0.493, 0.033, 0.250], [0.993, 0.467, 0.750], [0.000, 0.000, 0.000], [0.500, 0.500, 0.000], [0.500, 0.500, 0.500], [0.000, 0.000, 0.500], [0.213, 0.287, 0.459], [0.713, 0.213, 0.541], [0.287, 0.787, 0.041], [0.787, 0.713, 0.959], [0.787, 0.713, 0.541], [0.287, 0.787, 0.459], [0.713, 0.213, 0.959], [0.213, 0.287, 0.041], [0.923, 0.979, 0.250], [0.423, 0.521, 0.750], [0.577, 0.479, 0.250], [0.077, 0.021, 0.750]]}

***

Entry 4:
{"formula": "SbTe7SXeClO9F36", "functional": "PBE-GGA", "state": "optimized geometry", "spacegroup": "P-1, No. 2", "e_tot_ha_per_atom": -0.15703, "ef_ev_per_atom": -2.08, "lattice_angstrom": [[10.574, 0.000, 0.000], [-2.979, 10.442, 0.000], [-2.464, -3.388, 17.835]], "species": ["Sb", "Sb", "Te", "Te", "Te", "Te", "Te", "Te", "Te", "Te", "Te", "Te", "Te", "Te", "Te", "Te", "S", "S", "Xe", "Xe", "Cl", "Cl", "O", "O", "O", "O", "O", "O", "O", "O", "O", "O", "O", "O", "O", "O", "O", "O", "O", "O", "F", "F", "F", "F", "F", "F", "F", "F", "F", "F", "F", "F", "F", "F", "F", "F", "F", "F", "F", "F", "F", "F", "F", "F", "F", "F", "F", "F", "F", "F", "F", "F", "F", "F", "F", "F", "F", "F", "F", "F", "F", "F", "F", "F", "F", "F", "F", "F", "F", "F", "F", "F", "F", "F", "F", "F", "F", "F", "F", "F", "F", "F", "F", "F", "F", "F", "F", "F", "F", "F", "F", "F"], "fractional_positions": [[0.500, 0.000, 0.000], [0.000, 0.500, 0.500], [0.295, 0.985, 0.144], [0.705, 0.015, 0.856], [0.364, 0.130, 0.603], [0.767, 0.960, 0.138], [0.627, 0.354, 0.058], [0.662, 0.373, 0.391], [0.896, 0.261, 0.618], [0.104, 0.739, 0.382], [0.233, 0.040, 0.862], [0.373, 0.646, 0.942], [0.338, 0.627, 0.609], [0.636, 0.870, 0.397], [0.871, 0.711, 0.623], [0.129, 0.289, 0.377], [0.143, 0.457, 0.131], [0.857, 0.543, 0.869], [0.537, 0.374, 0.754], [0.463, 0.626, 0.246], [0.097, 0.321, 0.041], [0.903, 0.679, 0.959], [0.874, 0.424, 0.883], [0.361, 0.235, 0.700], [0.676, 0.991, 0.050], [0.903, 0.627, 0.532], [0.126, 0.576, 0.117], [0.829, 0.371, 0.444], [0.171, 0.629, 0.556], [0.731, 0.549, 0.827], [0.269, 0.451, 0.173], [0.020, 0.577, 0.407], [0.980, 0.423, 0.593], [0.587, 0.188, 0.998], [0.555, 0.956, 0.902], [0.639, 0.765, 0.300], [0.097, 0.373, 0.468], [0.324, 0.009, 0.950], [0.445, 0.044, 0.098], [0.413, 0.812, 0.002], [0.942, 0.743, 0.328], [0.448, 0.333, 0.069], [0.319, 0.958, 0.797], [0.133, 0.071, 0.778], [0.058, 0.257, 0.672], [0.463, 0.281, 0.573], [0.603, 0.912, 0.766], [0.833, 0.794, 0.711], [0.139, 0.126, 0.921], [0.767, 0.554, 0.645], [0.387, 0.549, 0.523], [0.204, 0.157, 0.563], [0.231, 0.124, 0.122], [0.191, 0.609, 0.948], [0.023, 0.695, 0.683], [0.867, 0.929, 0.222], [0.420, 0.792, 0.589], [0.332, 0.476, 0.886], [0.865, 0.350, 0.707], [0.861, 0.874, 0.079], [0.902, 0.118, 0.146], [0.035, 0.394, 0.176], [0.361, 0.201, 0.865], [0.303, 0.705, 0.698], [0.275, 0.743, 0.429], [0.283, 0.267, 0.430], [0.367, 0.031, 0.512], [0.633, 0.969, 0.488], [0.496, 0.369, 0.337], [0.167, 0.206, 0.289], [0.697, 0.295, 0.302], [0.552, 0.667, 0.931], [0.639, 0.799, 0.135], [0.233, 0.446, 0.355], [0.717, 0.733, 0.570], [0.919, 0.160, 0.532], [0.397, 0.088, 0.234], [0.476, 0.897, 0.355], [0.098, 0.882, 0.854], [0.725, 0.257, 0.571], [0.399, 0.576, 0.029], [0.681, 0.042, 0.203], [0.818, 0.123, 0.943], [0.668, 0.524, 0.114], [0.266, 0.984, 0.635], [0.848, 0.067, 0.806], [0.350, 0.843, 0.169], [0.769, 0.876, 0.878], [0.965, 0.606, 0.824], [0.135, 0.650, 0.293], [0.613, 0.451, 0.477], [0.182, 0.877, 0.057], [0.537, 0.719, 0.427], [0.662, 0.299, 0.150], [0.580, 0.208, 0.411], [0.650, 0.157, 0.831], [0.030, 0.125, 0.391], [0.272, 0.461, 0.634], [0.977, 0.305, 0.317], [0.081, 0.840, 0.468], [0.809, 0.391, 0.052], [0.524, 0.103, 0.645], [0.734, 0.016, 0.365], [0.728, 0.539, 0.366], [0.187, 0.895, 0.352], [0.813, 0.105, 0.648], [0.601, 0.424, 0.971], [0.338, 0.701, 0.850], [0.152, 0.933, 0.194], [0.796, 0.843, 0.437], [0.970, 0.875, 0.609], [0.504, 0.631, 0.663]]}

***

Entry 5:
{"formula": "Fe11MoC4", "functional": "PBE-GGA", "state": "optimized geometry", "spacegroup": "P1, No. 1", "de_polymorph_ev_per_atom": 0.000, "e_tot_ha_per_atom": -0.32115, "ef_ev_per_atom": 0.07, "lattice_angstrom": [[-0.342, -3.922, -2.235], [-1.049, -2.424, 4.305], [-6.686, 1.118, -0.945]], "species": ["Fe", "Fe", "Fe", "Fe", "Fe", "Fe", "Fe", "Fe", "Fe", "Fe", "Fe", "Mo", "C", "C", "C", "C"], "fractional_positions": [[0.832, 0.034, 0.254], [0.334, 0.460, 0.751], [0.664, 0.542, 0.252], [0.166, 0.962, 0.755], [0.335, 0.174, 0.081], [0.165, 0.676, 0.434], [0.664, 0.819, 0.565], [0.670, 0.824, 0.924], [0.178, 0.685, 0.074], [0.830, 0.324, 0.561], [0.329, 0.177, 0.438], [0.835, 0.319, 0.938], [0.436, 0.878, 0.260], [0.944, 0.631, 0.730], [0.062, 0.378, 0.255], [0.554, 0.119, 0.729]]}

***

Entry 6:
{"formula": "LiCuP3O9", "functional": "PBE-GGA", "state": "optimized geometry", "spacegroup": "Pnma, No. 62", "de_polymorph_ev_per_atom": 0.080, "e_tot_ha_per_atom": -0.24446, "ef_ev_per_atom": -2.32, "lattice_angstrom": [[-0.333, 4.789, -5.260], [-2.465, -6.517, -5.778], [-11.639, 2.074, 2.625]], "species": ["Li", "Li", "Li", "Li", "Cu", "Cu", "Cu", "Cu", "P", "P", "P", "P", "P", "P", "P", "P", "P", "P", "P", "P", "O", "O", "O", "O", "O", "O", "O", "O", "O", "O", "O", "O", "O", "O", "O", "O", "O", "O", "O", "O", "O", "O", "O", "O", "O", "O", "O", "O", "O", "O", "O", "O", "O", "O", "O", "O"], "fractional_positions": [[0.750, 0.470, 0.462], [0.750, 0.970, 0.038], [0.250, 0.530, 0.538], [0.250, 0.030, 0.962], [0.750, 0.512, 0.710], [0.750, 0.012, 0.790], [0.250, 0.988, 0.210], [0.250, 0.488, 0.290], [0.960, 0.756, 0.339], [0.960, 0.256, 0.161], [0.750, 0.310, 0.968], [0.750, 0.810, 0.532], [0.540, 0.256, 0.161], [0.540, 0.756, 0.339], [0.460, 0.244, 0.661], [0.460, 0.744, 0.839], [0.250, 0.190, 0.468], [0.250, 0.690, 0.032], [0.040, 0.244, 0.661], [0.040, 0.744, 0.839], [0.964, 0.647, 0.750], [0.964, 0.147, 0.750], [0.941, 0.885, 0.873], [0.941, 0.385, 0.627], [0.925, 0.352, 0.050], [0.925, 0.852, 0.450], [0.750, 0.706, 0.301], [0.750, 0.411, 0.872], [0.750, 0.911, 0.628], [0.750, 0.145, 0.955], [0.750, 0.206, 0.199], [0.750, 0.645, 0.545], [0.575, 0.352, 0.050], [0.575, 0.852, 0.450], [0.559, 0.885, 0.873], [0.559, 0.385, 0.627], [0.536, 0.647, 0.750], [0.536, 0.147, 0.750], [0.464, 0.853, 0.250], [0.464, 0.353, 0.250], [0.441, 0.115, 0.127], [0.441, 0.615, 0.373], [0.425, 0.148, 0.550], [0.425, 0.648, 0.950], [0.250, 0.855, 0.045], [0.250, 0.589, 0.128], [0.250, 0.355, 0.455], [0.250, 0.089, 0.372], [0.250, 0.294, 0.699], [0.250, 0.794, 0.801], [0.075, 0.148, 0.550], [0.075, 0.648, 0.950], [0.059, 0.615, 0.373], [0.059, 0.115, 0.127], [0.036, 0.353, 0.250], [0.036, 0.853, 0.250]]}

***

Entry 7:
{"formula": "Hf9Re4P", "functional": "PBE-GGA", "state": "optimized geometry", "spacegroup": "P6_3/mmc, No. 194", "e_tot_ha_per_atom": -0.39677, "ef_ev_per_atom": -0.45, "lattice_angstrom": [[4.267, -7.390, 0.000], [4.267, 7.390, 0.000], [0.000, 0.000, 8.651]], "species": ["Hf", "Hf", "Hf", "Hf", "Hf", "Hf", "Hf", "Hf", "Hf", "Hf", "Hf", "Hf", "Hf", "Hf", "Hf", "Hf", "Hf", "Hf", "Re", "Re", "Re", "Re", "Re", "Re", "Re", "Re", "P", "P"], "fractional_positions": [[0.197, 0.803, 0.452], [0.197, 0.394, 0.452], [0.606, 0.803, 0.452], [0.803, 0.197, 0.548], [0.803, 0.606, 0.548], [0.394, 0.197, 0.548], [0.803, 0.197, 0.952], [0.803, 0.606, 0.952], [0.394, 0.197, 0.952], [0.197, 0.803, 0.048], [0.197, 0.394, 0.048], [0.606, 0.803, 0.048], [0.539, 0.461, 0.250], [0.539, 0.079, 0.250], [0.921, 0.461, 0.250], [0.461, 0.539, 0.750], [0.461, 0.921, 0.750], [0.079, 0.539, 0.750], [0.891, 0.109, 0.250], [0.891, 0.782, 0.250], [0.218, 0.109, 0.250], [0.109, 0.891, 0.750], [0.109, 0.218, 0.750], [0.782, 0.891, 0.750], [0.000, 0.000, 0.500], [0.000, 0.000, 0.000], [0.333, 0.667, 0.250], [0.667, 0.333, 0.750]]}

***

Entry 8:
{"formula": "Nb3B2Ru5", "functional": "PBE-GGA", "state": "optimized geometry", "spacegroup": "P4/mbm, No. 127", "e_tot_ha_per_atom": -0.34733, "ef_ev_per_atom": -0.45, "lattice_angstrom": [[-5.951, -5.828, 4.540], [7.328, -3.916, 4.578], [-0.299, 2.030, 2.215]], "species": ["Nb", "Nb", "Nb", "Nb", "Nb", "Nb", "B", "B", "B", "B", "Ru", "Ru", "Ru", "Ru", "Ru", "Ru", "Ru", "Ru", "Ru", "Ru"], "fractional_positions": [[0.824, 0.676, 0.000], [0.176, 0.324, 0.000], [0.324, 0.824, 0.000], [0.676, 0.176, 0.000], [0.500, 0.500, 0.000], [0.000, 0.000, 0.000], [0.622, 0.878, 0.000], [0.378, 0.122, 0.000], [0.122, 0.622, 0.000], [0.878, 0.378, 0.000], [0.571, 0.719, 0.500], [0.429, 0.281, 0.500], [0.071, 0.781, 0.500], [0.929, 0.219, 0.500], [0.281, 0.571, 0.500], [0.719, 0.429, 0.500], [0.219, 0.071, 0.500], [0.781, 0.929, 0.500], [0.500, 0.000, 0.500], [0.000, 0.500, 0.500]]}

***

Entry 9:
{"formula": "RbTcO4", "functional": "PBE-GGA", "state": "optimized geometry", "spacegroup": "I4_1/a, No. 88", "e_tot_ha_per_atom": -0.25321, "ef_ev_per_atom": -2.16, "lattice_angstrom": [[-2.953, 2.953, 6.834], [2.953, -2.953, 6.834], [2.953, 2.953, -6.834]], "species": ["Rb", "Rb", "Tc", "Tc", "O", "O", "O", "O", "O", "O", "O", "O"], "fractional_positions": [[0.750, 0.250, 0.500], [0.000, 0.000, 0.000], [0.500, 0.500, 0.000], [0.250, 0.750, 0.500], [0.681, 0.790, 0.326], [0.106, 0.931, 0.391], [0.210, 0.535, 0.891], [0.465, 0.356, 0.674], [0.285, 0.894, 0.826], [0.540, 0.715, 0.609], [0.644, 0.319, 0.109], [0.069, 0.460, 0.174]]}

***

Entry 10:
{"formula": "Ga2CuS2O2", "functional": "PBE-GGA", "state": "optimized geometry", "spacegroup": "I4/mmm, No. 139", "e_tot_ha_per_atom": -0.14298, "ef_ev_per_atom": -0.18, "lattice_angstrom": [[-2.029, 2.029, 7.519], [2.029, -2.029, 7.519], [2.029, 2.029, -7.519]], "species": ["Ga", "Ga", "Cu", "S", "S", "O", "O"], "fractional_positions": [[0.250, 0.750, 0.500], [0.750, 0.250, 0.500], [0.000, 0.000, 0.000], [0.837, 0.837, 0.000], [0.163, 0.163, 0.000], [0.000, 0.500, 0.500], [0.500, 0.000, 0.500]]}

***

Entry 11:
{"formula": "Mg2Cu2P2H12O15", "functional": "PBE-GGA", "state": "optimized geometry", "spacegroup": "C2/c, No. 15", "e_tot_ha_per_atom": -0.20715, "ef_ev_per_atom": -1.79, "lattice_angstrom": [[11.180, 2.529, -1.954], [-11.180, 2.529, 1.954], [-0.044, 0.000, 10.635]], "species": ["Mg", "Mg", "Mg", "Mg", "Cu", "Cu", "Cu", "Cu", "P", "P", "P", "P", "H", "H", "H", "H", "H", "H", "H", "H", "H", "H", "H", "H", "H", "H", "H", "H", "H", "H", "H", "H", "H", "H", "H", "H", "O", "O", "O", "O", "O", "O", "O", "O", "O", "O", "O", "O", "O", "O", "O", "O", "O", "O", "O", "O", "O", "O", "O", "O", "O", "O", "O", "O", "O", "O"], "fractional_positions": [[0.954, 0.713, 0.964], [0.713, 0.954, 0.536], [0.046, 0.287, 0.036], [0.287, 0.046, 0.464], [0.099, 0.607, 0.867], [0.607, 0.099, 0.633], [0.901, 0.393, 0.133], [0.393, 0.901, 0.367], [0.174, 0.482, 0.729], [0.482, 0.174, 0.771], [0.826, 0.518, 0.271], [0.518, 0.826, 0.229], [0.326, 0.867, 0.069], [0.867, 0.326, 0.431], [0.674, 0.133, 0.931], [0.133, 0.674, 0.569], [0.397, 0.196, 0.091], [0.196, 0.397, 0.409], [0.603, 0.804, 0.909], [0.804, 0.603, 0.591], [0.124, 0.949, 0.162], [0.949, 0.124, 0.338], [0.876, 0.051, 0.838], [0.051, 0.876, 0.662], [0.561, 0.520, 0.856], [0.520, 0.561, 0.644], [0.439, 0.480, 0.144], [0.480, 0.439, 0.356], [0.772, 0.775, 0.935], [0.775, 0.772, 0.565], [0.228, 0.225, 0.065], [0.225, 0.228, 0.435], [0.150, 0.224, 0.730], [0.224, 0.150, 0.770], [0.850, 0.776, 0.270], [0.776, 0.850, 0.230], [0.269, 0.537, 0.871], [0.537, 0.269, 0.629], [0.731, 0.463, 0.129], [0.463, 0.731, 0.371], [0.987, 0.428, 0.717], [0.428, 0.987, 0.783], [0.013, 0.572, 0.283], [0.572, 0.013, 0.217], [0.995, 0.221, 0.689], [0.221, 0.995, 0.811], [0.005, 0.779, 0.311], [0.779, 0.005, 0.189], [0.412, 0.728, 0.642], [0.728, 0.412, 0.858], [0.588, 0.272, 0.358], [0.272, 0.588, 0.142], [0.151, 0.726, 0.021], [0.726, 0.151, 0.479], [0.849, 0.274, 0.979], [0.274, 0.849, 0.521], [0.200, 0.037, 0.075], [0.037, 0.200, 0.425], [0.800, 0.963, 0.925], [0.963, 0.800, 0.575], [0.731, 0.662, 0.910], [0.662, 0.731, 0.590], [0.269, 0.338, 0.090], [0.338, 0.269, 0.410], [0.296, 0.296, 0.750], [0.704, 0.704, 0.250]]}